A relaxed structure of PrNi4B, computed with PBE-GGA.

Cell: 5.0899 5.0899 7.0230 Å, 90.00 90.00 120.00°
Space group P6/mmm (No. 191)
Unique sites:
Pr: 0.0000 0.0000 0.0000 (multiplicity 1)
Pr: 0.0000 0.0000 0.5000 (multiplicity 1)
Ni: 0.0000 0.5000 0.2058 (multiplicity 6)
Ni: 0.3333 0.6667 0.5000 (multiplicity 2)
B: 0.3333 0.6667 0.0000 (multiplicity 2)

***

A relaxed structure of Pr2Ni5B4, computed with PBE-GGA.

Cell: 9.838 5.131 6.814 Å, 90.00 125.59 90.00°
Space group C2/m (No. 12)
Unique sites:
Pr: 0.226 0.000 0.149 (multiplicity 4)
Ni: 0.000 0.500 0.000 (multiplicity 2)
Ni: 0.076 0.248 0.372 (multiplicity 8)
B: 0.099 0.000 0.639 (multiplicity 4)
B: 0.221 0.500 0.340 (multiplicity 4)

***

A relaxed structure of PrNiB4, computed with PBE-GGA.

Cell: 7.721 7.721 8.675 Å, 90.00 90.00 90.00°
Space group I4/mmm (No. 139)
Unique sites:
Pr: 0.000 0.000 0.206 (multiplicity 4)
Pr: 0.000 0.500 0.250 (multiplicity 4)
Ni: 0.000 0.228 0.500 (multiplicity 8)
B: 0.113 0.276 0.000 (multiplicity 16)
B: 0.235 0.235 0.349 (multiplicity 16)

***

A relaxed structure of Pr2NiB10, computed with PBE-GGA.

Cell: 5.643 11.254 4.202 Å, 90.00 90.00 90.00°
Space group Pbam (No. 55)
Unique sites:
Pr: 0.194 0.136 0.000 (multiplicity 4)
Ni: 0.000 0.500 0.500 (multiplicity 2)
B: 0.037 0.312 0.500 (multiplicity 4)
B: 0.125 0.958 0.500 (multiplicity 4)
B: 0.154 0.803 0.500 (multiplicity 4)
B: 0.203 0.386 0.200 (multiplicity 8)

***

A relaxed structure of Zn10NiB8Rh18, computed with PBE-GGA.

Cell: 17.911 17.911 2.879 Å, 90.00 90.00 90.00°
Space group P4/mbm (No. 127)
Unique sites:
Zn: 0.032 0.188 0.000 (multiplicity 8)
Zn: 0.050 0.450 0.000 (multiplicity 4)
Zn: 0.169 0.331 0.000 (multiplicity 4)
Zn: 0.209 0.709 0.000 (multiplicity 4)
Ni: 0.000 0.000 0.000 (multiplicity 2)
B: 0.038 0.666 0.000 (multiplicity 8)
B: 0.124 0.834 0.000 (multiplicity 8)
Rh: 0.048 0.326 0.500 (multiplicity 8)
Rh: 0.067 0.901 0.500 (multiplicity 8)
Rh: 0.082 0.582 0.500 (multiplicity 4)
Rh: 0.088 0.744 0.500 (multiplicity 8)
Rh: 0.161 0.211 0.500 (multiplicity 8)

***

A relaxed structure of Ti8Ni3B8Ru18, computed with PBE-GGA.

Cell: 17.527 17.527 2.979 Å, 90.00 90.00 90.00°
Space group P4/mbm (No. 127)
Unique sites:
Ti: 0.035 0.187 0.000 (multiplicity 8)
Ti: 0.171 0.329 0.000 (multiplicity 4)
Ti: 0.197 0.697 0.000 (multiplicity 4)
Ni: 0.000 0.000 0.000 (multiplicity 2)
Ni: 0.050 0.450 0.000 (multiplicity 4)
B: 0.039 0.665 0.000 (multiplicity 8)
B: 0.121 0.832 0.000 (multiplicity 8)
Ru: 0.050 0.330 0.500 (multiplicity 8)
Ru: 0.069 0.905 0.500 (multiplicity 8)
Ru: 0.081 0.748 0.500 (multiplicity 8)
Ru: 0.084 0.584 0.500 (multiplicity 4)
Ru: 0.167 0.211 0.500 (multiplicity 8)

***

For reference, formation energy by record: -0.402 -0.455 -0.513 -0.523 -0.390 -0.474 eV per atom.